1.
# CaNdMn2O6 | the Materials Project database | PBE with a Hubbard U | optimized geometry
# - energy relative to the lowest polymorph listed for this composition (meV per atom) = 1
# - E (eV per cell) = -149.67
# - E_form (eV/atom) = -2.751
# - magnetization (μB per cell) = 14.000
data_CaNdMn2O6
_chemical_formula_sum 'Ca2 Nd2 Mn4 O12'
_space_group_name_H-M_alt 'P m c 21'
_space_group_IT_number 26
_space_group_name_Hall 'P 2c -2'
_cell_length_a 7.679
_cell_length_b 5.462
_cell_length_c 5.520
_cell_angle_alpha 90.00
_cell_angle_beta 90.00
_cell_angle_gamma 90.00
loop_
_atom_site_label
_atom_site_type_symbol
_atom_site_fract_x
_atom_site_fract_y
_atom_site_fract_z
_atom_site_occupancy
Ca1 Ca 0.000 0.241 0.000 1
Nd1 Nd 0.500 0.258 0.918 1
Mn1 Mn 0.244 0.249 0.461 1
O1 O 0.000 0.334 0.435 1
O2 O 0.214 0.043 0.755 1
O3 O 0.297 0.469 0.179 1
O4 O 0.500 0.175 0.475 1

2.
# Ca3NdMn4O12 | the Materials Project database | PBE with a Hubbard U | optimized geometry
# - E (eV per cell) = -144.55
# - E_form (eV/atom) = -2.633
# - magnetization (μB per cell) = 13.001
data_Ca3NdMn4O12
_chemical_formula_sum 'Ca3 Nd1 Mn4 O12'
_space_group_name_H-M_alt 'P 1 m 1'
_space_group_IT_number 6
_space_group_name_Hall 'P -2y'
_cell_length_a 5.387
_cell_length_b 7.690
_cell_length_c 5.442
_cell_angle_alpha 90.00
_cell_angle_beta 90.26
_cell_angle_gamma 90.00
loop_
_atom_site_label
_atom_site_type_symbol
_atom_site_fract_x
_atom_site_fract_y
_atom_site_fract_z
_atom_site_occupancy
Ca1 Ca 0.000 0.000 0.000 1
Ca2 Ca 0.013 0.500 0.919 1
Ca3 Ca 0.513 0.000 0.503 1
Nd1 Nd 0.497 0.500 0.420 1
Mn1 Mn 0.005 0.246 0.462 1
Mn2 Mn 0.508 0.247 0.961 1
O1 O 0.081 0.000 0.437 1
O2 O 0.220 0.295 0.175 1
O3 O 0.298 0.287 0.672 1
O4 O 0.430 0.000 0.943 1
O5 O 0.581 0.500 0.973 1
O6 O 0.708 0.214 0.259 1
O7 O 0.801 0.211 0.755 1
O8 O 0.938 0.500 0.478 1

3.
# Ca6Nd6ScMn11O36 | the Materials Project database | PBE with a Hubbard U | optimized geometry
# - E (eV per cell) = -452.07
# - E_form (eV/atom) = -2.821
# - magnetization (μB per cell) = 38.000
data_Ca6Nd6ScMn11O36
_chemical_formula_sum 'Ca6 Nd6 Sc1 Mn11 O36'
_space_group_name_H-M_alt 'P 1'
_space_group_IT_number 1
_space_group_name_Hall 'P 1'
_cell_length_a 5.460
_cell_length_b 5.516
_cell_length_c 23.168
_cell_angle_alpha 89.99
_cell_angle_beta 89.93
_cell_angle_gamma 89.99
loop_
_atom_site_label
_atom_site_type_symbol
_atom_site_fract_x
_atom_site_fract_y
_atom_site_fract_z
_atom_site_occupancy
Ca1 Ca 0.000 0.000 0.000 1
Ca2 Ca 0.000 0.000 0.329 1
Ca3 Ca 0.480 0.499 0.328 1
Ca4 Ca 0.499 0.416 0.839 1
Ca5 Ca 0.500 0.417 0.168 1
Ca6 Ca 0.980 0.918 0.840 1
Nd1 Nd 0.004 0.997 0.674 1
Nd2 Nd 0.481 0.500 0.001 1
Nd3 Nd 0.483 0.499 0.673 1
Nd4 Nd 0.498 0.418 0.495 1
Nd5 Nd 0.977 0.921 0.494 1
Nd6 Nd 0.982 0.917 0.167 1
Sc1 Sc 0.990 0.459 0.584 1
Mn1 Mn 0.487 0.958 0.412 1
Mn2 Mn 0.490 0.960 0.918 1
Mn3 Mn 0.490 0.961 0.084 1
Mn4 Mn 0.491 0.958 0.250 1
Mn5 Mn 0.491 0.959 0.584 1
Mn6 Mn 0.495 0.958 0.756 1
Mn7 Mn 0.988 0.457 0.756 1
Mn8 Mn 0.988 0.458 0.918 1
Mn9 Mn 0.990 0.457 0.084 1
Mn10 Mn 0.992 0.457 0.250 1
Mn11 Mn 0.993 0.460 0.412 1
O1 O 0.069 0.475 0.496 1
O2 O 0.071 0.476 0.167 1
O3 O 0.075 0.485 0.836 1
O4 O 0.198 0.752 0.402 1
O5 O 0.202 0.746 0.262 1
O6 O 0.206 0.743 0.070 1
O7 O 0.209 0.740 0.934 1
O8 O 0.212 0.738 0.737 1
O9 O 0.214 0.753 0.601 1
O10 O 0.272 0.239 0.737 1
O11 O 0.274 0.242 0.070 1
O12 O 0.275 0.242 0.263 1
O13 O 0.276 0.245 0.932 1
O14 O 0.282 0.252 0.402 1
O15 O 0.288 0.237 0.600 1
O16 O 0.404 0.982 0.837 1
O17 O 0.407 0.976 0.498 1
O18 O 0.411 0.978 0.166 1
O19 O 0.572 0.940 0.001 1
O20 O 0.574 0.942 0.670 1
O21 O 0.575 0.932 0.331 1
O22 O 0.693 0.680 0.568 1
O23 O 0.698 0.664 0.765 1
O24 O 0.700 0.671 0.906 1
O25 O 0.706 0.674 0.098 1
O26 O 0.710 0.677 0.234 1
O27 O 0.710 0.679 0.431 1
O28 O 0.766 0.164 0.567 1
O29 O 0.769 0.179 0.430 1
O30 O 0.774 0.174 0.098 1
O31 O 0.774 0.175 0.905 1
O32 O 0.777 0.172 0.235 1
O33 O 0.785 0.163 0.766 1
O34 O 0.905 0.435 0.332 1
O35 O 0.912 0.440 0.001 1
O36 O 0.912 0.441 0.672 1

4.
# SrCaNdMnO6 | the Materials Project database | PBE with a Hubbard U | optimized geometry
# - energy relative to the lowest polymorph listed for this composition (meV per atom) = 0
# - E (eV per cell) = -138.10
# - E_form (eV/atom) = -2.753
# - magnetization (μB per cell) = 8.000
data_SrCaNdMnO6
_chemical_formula_sum 'Sr2 Ca2 Nd2 Mn2 O12'
_space_group_name_H-M_alt 'P -4 n 2'
_space_group_IT_number 118
_space_group_name_Hall 'P -4 -2n'
_cell_length_a 5.628
_cell_length_b 5.628
_cell_length_c 8.424
_cell_angle_alpha 90.00
_cell_angle_beta 90.00
_cell_angle_gamma 90.00
loop_
_atom_site_label
_atom_site_type_symbol
_atom_site_fract_x
_atom_site_fract_y
_atom_site_fract_z
_atom_site_occupancy
Sr1 Sr 0.000 0.500 0.250 1
Ca1 Ca 0.000 0.000 0.500 1
Nd1 Nd 0.000 0.500 0.750 1
Mn1 Mn 0.000 0.000 0.000 1
O1 O 0.000 0.000 0.233 1
O2 O 0.145 0.305 0.990 1

5.
# SrCaNdMnO6 | the Materials Project database | PBE with a Hubbard U | optimized geometry
# - energy relative to the lowest polymorph listed for this composition (meV per atom) = 79
# - E (eV per cell) = -273.05
# - E_form (eV/atom) = -2.674
# - magnetization (μB per cell) = 8.000
data_SrCaNdMnO6
_chemical_formula_sum 'Sr4 Ca4 Nd4 Mn4 O24'
_space_group_name_H-M_alt 'F -4 3 m'
_space_group_IT_number 216
_space_group_name_Hall 'F -4 2 3'
_cell_length_a 8.125
_cell_length_b 8.125
_cell_length_c 8.125
_cell_angle_alpha 90.00
_cell_angle_beta 90.00
_cell_angle_gamma 90.00
loop_
_atom_site_label
_atom_site_type_symbol
_atom_site_fract_x
_atom_site_fract_y
_atom_site_fract_z
_atom_site_occupancy
Sr1 Sr 0.000 0.000 0.000 1
Ca1 Ca 0.250 0.250 0.750 1
Nd1 Nd 0.000 0.000 0.500 1
Mn1 Mn 0.250 0.250 0.250 1
O1 O 0.018 0.250 0.250 1

6.
# CaNdTiMnO6 | the Materials Project database | PBE with a Hubbard U | optimized geometry
# - E (eV per cell) = -160.18
# - largest piezoelectric modulus (C/m2) = 2.2
# - E_form (eV/atom) = -3.236
# - magnetization (μB per cell) = 8.001
data_CaNdTiMnO6
_chemical_formula_sum 'Ca2 Nd2 Ti2 Mn2 O12'
_space_group_name_H-M_alt 'P 1 c 1'
_space_group_IT_number 7
_space_group_name_Hall 'P -2yc'
_cell_length_a 5.512
_cell_length_b 5.673
_cell_length_c 9.341
_cell_angle_alpha 90.00
_cell_angle_beta 125.54
_cell_angle_gamma 90.00
loop_
_atom_site_label
_atom_site_type_symbol
_atom_site_fract_x
_atom_site_fract_y
_atom_site_fract_z
_atom_site_occupancy
Ca1 Ca 0.000 0.201 0.000 1
Nd1 Nd 0.526 0.303 0.500 1
Ti1 Ti 0.763 0.244 0.249 1
Mn1 Mn 0.264 0.248 0.751 1
O1 O 0.104 0.224 0.504 1
O2 O 0.420 0.273 0.996 1
O3 O 0.528 0.052 0.297 1
O4 O 0.605 0.467 0.796 1
O5 O 0.917 0.035 0.703 1
O6 O 0.995 0.449 0.203 1

7.
# Ca3MnNiO6 | the Materials Project database | PBE with a Hubbard U | optimized geometry
# - E (eV per cell) = -423.86
# - E_form (eV/atom) = -2.575
# - magnetization (μB per cell) = 5.997
data_Ca3MnNiO6
_chemical_formula_sum 'Ca18 Mn6 Ni6 O36'
_space_group_name_H-M_alt 'R -3 c'
_space_group_IT_number 167
_space_group_name_Hall '-R 3 2"c'
_cell_length_a 9.2277
_cell_length_b 9.2277
_cell_length_c 10.6678
_cell_angle_alpha 90.00
_cell_angle_beta 90.00
_cell_angle_gamma 120.00
loop_
_atom_site_label
_atom_site_type_symbol
_atom_site_fract_x
_atom_site_fract_y
_atom_site_fract_z
_atom_site_occupancy
Ca1 Ca 0.0000 0.3608 0.2500 1
Mn1 Mn 0.0000 0.0000 0.0000 1
Ni1 Ni 0.0000 0.0000 0.2500 1
O1 O 0.0301 0.1804 0.3912 1

8.
# CaMnNiP2O9 | the Materials Project database | PBE with a Hubbard U | optimized geometry
# - E (eV per cell) = -388.07
# - E_form (eV/atom) = -2.507
# - magnetization (μB per cell) = 19.999
data_CaMnNiP2O9
_chemical_formula_sum 'Ca4 Mn4 Ni4 P8 O36'
_space_group_name_H-M_alt 'P n m a'
_space_group_IT_number 62
_space_group_name_Hall '-P 2ac 2n'
_cell_length_a 14.257
_cell_length_b 6.426
_cell_length_c 7.401
_cell_angle_alpha 90.00
_cell_angle_beta 90.00
_cell_angle_gamma 90.00
loop_
_atom_site_label
_atom_site_type_symbol
_atom_site_fract_x
_atom_site_fract_y
_atom_site_fract_z
_atom_site_occupancy
Ca1 Ca 0.218 0.250 0.117 1
Mn1 Mn 0.120 0.250 0.652 1
Ni1 Ni 0.000 0.000 0.000 1
P1 P 0.061 0.750 0.644 1
P2 P 0.193 0.750 0.108 1
O1 O 0.011 0.250 0.506 1
O2 O 0.013 0.750 0.831 1
O3 O 0.057 0.250 0.864 1
O4 O 0.131 0.562 0.631 1
O5 O 0.134 0.552 0.107 1
O6 O 0.229 0.250 0.456 1
O7 O 0.240 0.250 0.781 1

9.
# Ca8Mn8O23 | the Materials Project database | PBE with a Hubbard U | optimized geometry
# - energy relative to the lowest polymorph listed for this composition (meV per atom) = 40
# - E (eV per cell) = -269.93
# - E_form (eV/atom) = -2.460
# - magnetization (μB per cell) = 26.000
data_Ca8Mn8O23
_chemical_formula_sum 'Ca8 Mn8 O23'
_space_group_name_H-M_alt 'P 4/m m m'
_space_group_IT_number 123
_space_group_name_Hall '-P 4 2'
_cell_length_a 7.617
_cell_length_b 7.617
_cell_length_c 7.673
_cell_angle_alpha 90.00
_cell_angle_beta 90.00
_cell_angle_gamma 90.00
loop_
_atom_site_label
_atom_site_type_symbol
_atom_site_fract_x
_atom_site_fract_y
_atom_site_fract_z
_atom_site_occupancy
Ca1 Ca 0.235 0.235 0.000 1
Ca2 Ca 0.244 0.244 0.500 1
Mn1 Mn 0.000 0.000 0.251 1
Mn2 Mn 0.000 0.500 0.254 1
Mn3 Mn 0.500 0.500 0.242 1
O1 O 0.000 0.000 0.000 1
O2 O 0.000 0.000 0.500 1
O3 O 0.000 0.250 0.241 1
O4 O 0.000 0.500 0.000 1
O5 O 0.000 0.500 0.500 1
O6 O 0.254 0.500 0.282 1
O7 O 0.500 0.500 0.000 1

10.
# CaMn2O4 | the Materials Project database | PBE with a Hubbard U | optimized geometry
# - energy relative to the lowest polymorph listed for this composition (meV per atom) = 102
# - E (eV per cell) = -302.77
# - E_form (eV/atom) = -2.346
# - magnetization (μB per cell) = 48.000
data_CaMn2O4
_chemical_formula_sum 'Ca6 Mn12 O24'
_space_group_name_H-M_alt 'R 3 m'
_space_group_IT_number 160
_space_group_name_Hall 'R 3 -2"'
_cell_length_a 6.2387
_cell_length_b 6.2387
_cell_length_c 15.8543
_cell_angle_alpha 90.00
_cell_angle_beta 90.00
_cell_angle_gamma 120.00
loop_
_atom_site_label
_atom_site_type_symbol
_atom_site_fract_x
_atom_site_fract_y
_atom_site_fract_z
_atom_site_occupancy
Ca1 Ca 0.0000 0.0000 0.0000 1
Ca2 Ca 0.0000 0.0000 0.3860 1
Mn1 Mn 0.0000 0.0000 0.6166 1
Mn2 Mn 0.1686 0.3372 0.8344 1
O1 O 0.0000 0.0000 0.2430 1
O2 O 0.0000 0.0000 0.7511 1
O3 O 0.0428 0.5214 0.7714 1
O4 O 0.1805 0.3610 0.5648 1

11.
# CaMn2O4 | the Materials Project database | PBE with a Hubbard U | optimized geometry
# - energy relative to the lowest polymorph listed for this composition (meV per atom) = 84
# - E (eV per cell) = -202.33
# - E_form (eV/atom) = -2.364
# - magnetization (μB per cell) = 32.000
data_CaMn2O4
_chemical_formula_sum 'Ca4 Mn8 O16'
_space_group_name_H-M_alt 'P 1'
_space_group_IT_number 1
_space_group_name_Hall 'P 1'
_cell_length_a 6.200
_cell_length_b 6.249
_cell_length_c 11.098
_cell_angle_alpha 74.51
_cell_angle_beta 73.82
_cell_angle_gamma 60.27
loop_
_atom_site_label
_atom_site_type_symbol
_atom_site_fract_x
_atom_site_fract_y
_atom_site_fract_z
_atom_site_occupancy
Ca1 Ca 0.000 0.000 0.000 1
Ca2 Ca 0.171 0.201 0.422 1
Ca3 Ca 0.482 0.499 0.500 1
Ca4 Ca 0.689 0.701 0.921 1
Mn1 Mn 0.368 0.398 0.844 1
Mn2 Mn 0.423 0.948 0.674 1
Mn3 Mn 0.435 0.449 0.174 1
Mn4 Mn 0.436 0.945 0.175 1
Mn5 Mn 0.871 0.898 0.344 1
Mn6 Mn 0.927 0.442 0.676 1
Mn7 Mn 0.929 0.950 0.671 1
Mn8 Mn 0.932 0.451 0.171 1
O1 O 0.028 0.050 0.789 1
O2 O 0.035 0.601 0.764 1
O3 O 0.080 0.101 0.265 1
O4 O 0.081 0.556 0.271 1
O5 O 0.260 0.348 0.048 1
O6 O 0.268 0.285 0.582 1
O7 O 0.270 0.855 0.577 1
O8 O 0.346 0.786 0.082 1
O9 O 0.536 0.102 0.269 1
O10 O 0.576 0.054 0.769 1
O11 O 0.576 0.602 0.768 1
O12 O 0.615 0.550 0.289 1
O13 O 0.780 0.356 0.076 1
O14 O 0.782 0.789 0.081 1
O15 O 0.828 0.849 0.546 1
O16 O 0.830 0.288 0.582 1

12.
# CaMn2O4 | the Materials Project database | PBE with a Hubbard U | optimized geometry
# - energy relative to the lowest polymorph listed for this composition (meV per atom) = 46
# - E (eV per cell) = -203.41
# - E_form (eV/atom) = -2.402
# - magnetization (μB per cell) = 32.000
data_CaMn2O4
_chemical_formula_sum 'Ca4 Mn8 O16'
_space_group_name_H-M_alt 'C m c m'
_space_group_IT_number 63
_space_group_name_Hall '-C 2c 2'
_cell_length_a 3.147
_cell_length_b 10.142
_cell_length_c 9.794
_cell_angle_alpha 90.00
_cell_angle_beta 90.00
_cell_angle_gamma 90.00
loop_
_atom_site_label
_atom_site_type_symbol
_atom_site_fract_x
_atom_site_fract_y
_atom_site_fract_z
_atom_site_occupancy
Ca1 Ca 0.000 0.103 0.250 1
Mn1 Mn 0.000 0.363 0.069 1
O1 O 0.000 0.000 0.000 1
O2 O 0.000 0.275 0.607 1
O3 O 0.000 0.438 0.250 1